# 1
This record from Materials Project describes a relaxed structure of NaSi6. The functional is r2SCAN.

Results
* total energy: -7.987 eV/atom
* calculated volume: 265.8 Å³ per cell
* formation energy: 29 kJ/mol of formula units

The structure in POSCAR format:
```
NaSi6
1.0
2.0712 -5.2524 0.0000
2.0712 5.2524 0.0000
0.0000 0.0000 12.2154
Na Si
2 12
Cartesian
2.0712 2.9833 9.1615
2.0712 -2.9833 3.0538
2.0712 4.5675 1.8699
2.0712 4.5675 4.2378
2.0712 2.5717 0.5864
2.0712 2.5717 5.5212
2.0712 0.2758 1.1557
2.0712 0.2758 4.9520
2.0712 -0.2758 7.2634
2.0712 -0.2758 11.0597
2.0712 -2.5717 6.6941
2.0712 -2.5717 11.6289
2.0712 -4.5675 7.9776
2.0712 -4.5675 10.3455
```



# 2
This record from Materials Project describes a relaxed structure of PrGe. The functional is r2SCAN.

Results
* total energy: -22.561 eV/atom
* calculated volume: 206.2 Å³ per cell
* formation energy: -178 kJ/mol of formula units

The structure in POSCAR format:
```
PrGe
1.0
8.3751 0.0000 0.0000
0.0000 4.0745 0.0000
0.0000 0.0000 6.0425
Pr Ge
4 4
Cartesian
1.5133 1.0186 0.7061
2.6742 3.0559 3.7273
5.7009 1.0186 2.3152
6.8618 3.0559 5.3365
0.3157 1.0186 3.8335
3.8718 3.0559 0.8122
4.5033 1.0186 5.2303
8.0594 3.0559 2.2090
```



# 3
This record from Materials Project describes a relaxed structure of Mn3Zn2O8. The functional is r2SCAN.

Results
* total energy: -10.383 eV/atom
* calculated volume: 132.5 Å³ per cell
* relative energy among the computed polymorphs: 0.00 kJ per mole of atoms
* formation energy: -2444 kJ/mol of formula units

The structure in POSCAR format:
```
Mn3Zn2O8
1.0
4.8625 -2.8375 0.0000
4.8625 2.8375 0.0000
-1.0088 0.0000 4.8004
Mn Zn O
3 2 8
Cartesian
0.0000 0.0000 0.0000
4.3581 1.3880 2.4002
4.3581 -1.3880 2.4002
1.9285 0.0000 4.3173
6.7876 0.0000 0.4832
0.6096 0.0000 1.7763
3.6142 1.5479 0.6418
5.1020 1.5479 4.1586
3.2269 0.0000 2.8701
5.4893 0.0000 1.9303
3.6142 -1.5479 0.6418
5.1020 -1.5479 4.1586
8.1066 0.0000 3.0241
```